Entry 1:
First-principles (GGA-PBE) data for K3BePCO7 after structural relaxation, as listed in Materials Project.

a b c (Å): 5.250 8.363 9.261
angles (deg): 90.00 93.88 90.00
Space group P2_1/m (No. 11)
Unique sites:
K 0.249 0.004 0.208
K 0.250 0.750 0.588
Be 0.211 0.250 0.879
P 0.269 0.750 0.937
C 0.307 0.250 0.609
O 0.040 0.750 0.039
O 0.134 0.250 0.709
O 0.231 0.250 0.473
O 0.256 0.597 0.845
O 0.457 0.750 0.348
O 0.475 0.250 0.964

Results
energy of formation = -31.88 eV per formula unit
total moment = 0.0 μB/cell

---

Entry 2:
First-principles (GGA-PBE) data for Dy3Ge13Rh4 after structural relaxation, as listed in Materials Project.

a b c (Å): 9.028 9.028 9.028
angles (deg): 90.00 90.00 90.00
Space group Pm-3n (No. 223)
Unique sites:
Dy 0.000 0.250 0.500
Ge 0.000 0.000 0.000
Ge 0.000 0.310 0.148
Rh 0.250 0.250 0.250

Results
energy of formation = -10.84 eV per formula unit
total moment = 0.1 μB/cell

---

Entry 3:
First-principles (GGA-PBE) data for MgTiP2O7 after structural relaxation, as listed in Materials Project.

a b c (Å): 7.049 8.631 9.234
angles (deg): 90.00 113.64 90.00
Space group P2_1/c (No. 14)
Unique sites:
Mg 0.196 0.060 0.318
Ti 0.277 0.069 0.901
P 0.027 0.721 0.964
P 0.437 0.739 0.252
O 0.015 0.091 0.659
O 0.043 0.618 0.396
O 0.127 0.223 0.455
O 0.248 0.675 0.096
O 0.381 0.241 0.300
O 0.382 0.607 0.802
O 0.472 0.609 0.374

Results
energy of formation = -30.72 eV per formula unit
total moment = 8.0 μB/cell
distance to the lowest polymorph of the same formula = 0.000 eV/atom

---

Entry 4:
First-principles (GGA-PBE) data for Bi24B2O39 after structural relaxation, as listed in Materials Project.

a b c (Å): 8.739 8.884 14.252
angles (deg): 90.03 90.17 109.73
Space group P1 (No. 1)
Unique sites:
Bi 0.000 0.000 0.000
Bi 0.001 0.670 0.483
Bi 0.031 0.005 0.655
Bi 0.035 0.346 0.152
Bi 0.087 0.293 0.408
Bi 0.119 0.463 0.658
Bi 0.202 0.828 0.848
Bi 0.246 0.411 0.918
Bi 0.283 0.088 0.237
Bi 0.339 0.703 0.321
Bi 0.373 0.052 0.490
Bi 0.430 0.250 0.720
Bi 0.489 0.153 0.982
Bi 0.493 0.500 0.144
Bi 0.493 0.826 0.669
Bi 0.515 0.493 0.499
Bi 0.586 0.782 0.914
Bi 0.645 0.989 0.164
Bi 0.707 0.343 0.330
Bi 0.750 0.919 0.397
Bi 0.769 0.585 0.734
Bi 0.831 0.202 0.813
Bi 0.843 0.537 0.988
Bi 0.947 0.740 0.211
B 0.266 0.771 0.070
B 0.747 0.273 0.576
O 0.001 0.274 0.942
O 0.077 0.967 0.514
O 0.164 0.678 0.152
O 0.176 0.291 0.741
O 0.177 0.811 0.375
O 0.190 0.682 0.978
O 0.195 0.344 0.264
O 0.259 0.367 0.071
O 0.259 0.507 0.460
O 0.264 0.939 0.068
O 0.275 0.005 0.699
O 0.303 0.187 0.898
O 0.310 0.684 0.768
O 0.345 0.199 0.379
O 0.363 0.265 0.571
O 0.439 0.768 0.078
O 0.455 0.960 0.273
O 0.459 0.959 0.875
O 0.498 0.256 0.182
O 0.505 0.594 0.633
O 0.512 0.790 0.443
O 0.577 0.475 0.008
O 0.655 0.186 0.663
O 0.664 0.190 0.487
O 0.677 0.310 0.878
O 0.685 0.839 0.762
O 0.697 0.818 0.254
O 0.750 0.445 0.576
O 0.753 0.001 0.961
O 0.783 0.503 0.197
O 0.796 0.694 0.414
O 0.805 0.174 0.274
O 0.840 0.700 0.880
O 0.861 0.762 0.070
O 0.922 0.271 0.580
O 0.952 0.459 0.771
O 0.961 0.466 0.373
O 0.971 0.083 0.135
O 0.979 0.749 0.673

Results
energy of formation = -109.65 eV per formula unit
total moment = 0.0 μB/cell

---

Entry 5:
First-principles (GGA-PBE) data for CaO after structural relaxation, as listed in Materials Project.

a b c (Å): 4.0075 4.0075 4.8177
angles (deg): 90.00 90.00 120.00
Space group P6_3/mmc (No. 194)
Unique sites:
Ca 0.3333 0.6667 0.2500
O 0.3333 0.6667 0.7500

Results
energy of formation = -6.48 eV per formula unit

---

Entry 6:
First-principles (GGA-PBE) data for SiO2 after structural relaxation, as listed in Materials Project.

a b c (Å): 18.3394 18.3394 7.2644
angles (deg): 90.00 90.00 120.00
Space group R-3m (No. 166, hexagonal axes)
Unique sites:
Si 0.0136 0.4265 0.2156
O 0.0000 0.2244 0.5000
O 0.0000 0.2842 0.0000
O 0.0000 0.4360 0.0000
O 0.0084 0.5042 0.3161

Results
energy of formation = -8.35 eV per formula unit

---

Entry 7:
First-principles (GGA-PBE) data for CsHoO2 after structural relaxation, as listed in Materials Project.

a b c (Å): 3.5442 3.5442 13.7534
angles (deg): 90.00 90.00 120.00
Space group P6_3/mmc (No. 194)
Unique sites:
Cs 0.3333 0.6667 0.2500
Ho 0.0000 0.0000 0.0000
O 0.3333 0.6667 0.5818

Results
energy of formation = -11.91 eV per formula unit

---

Entry 8:
First-principles (GGA-PBE) data for Cs2NaSmCl6 after structural relaxation, as listed in Materials Project.

a b c (Å): 11.020 11.020 11.020
angles (deg): 90.00 90.00 90.00
Space group Fm-3m (No. 225)
Unique sites:
Cs 0.250 0.250 0.250
Na 0.000 0.000 0.000
Sm 0.000 0.000 0.500
Cl 0.000 0.000 0.255

Results
energy of formation = -24.89 eV per formula unit

---

Entry 9:
First-principles (GGA-PBE) data for ZnGa2S4 after structural relaxation, as listed in Materials Project.

a b c (Å): 6.051 9.868 9.621
angles (deg): 90.00 90.00 90.00
Space group Cccm (No. 66)
Unique sites:
Zn 0.000 0.000 0.250
Ga 0.001 0.270 0.000
S 0.219 0.074 0.500
S 0.250 0.250 0.180

Results
energy of formation = -4.97 eV per formula unit
total moment = 0.0 μB/cell

---

Entry 10:
First-principles (GGA-PBE) data for Ta36B4C35 after structural relaxation, as listed in Materials Project.

a b c (Å): 5.482 3.165 100.462
angles (deg): 90.00 90.01 90.00
Space group Cm (No. 8)
Unique sites:
Ta 0.000 0.000 0.000
Ta 0.000 0.000 0.077
Ta 0.000 0.000 0.154
Ta 0.000 0.000 0.231
Ta 0.000 0.000 0.307
Ta 0.000 0.000 0.384
Ta 0.000 0.000 0.462
Ta 0.000 0.000 0.767
Ta 0.000 0.000 0.845
Ta 0.000 0.000 0.923
Ta 0.001 0.000 0.539
Ta 0.002 0.000 0.617
Ta 0.166 0.500 0.410
Ta 0.166 0.500 0.565
Ta 0.167 0.500 0.026
Ta 0.167 0.500 0.103
Ta 0.167 0.500 0.179
Ta 0.167 0.500 0.256
Ta 0.167 0.500 0.333
Ta 0.167 0.500 0.488
Ta 0.167 0.500 0.793
Ta 0.167 0.500 0.871
Ta 0.167 0.500 0.949
Ta 0.171 0.500 0.643
Ta 0.333 0.000 0.051
Ta 0.333 0.000 0.128
Ta 0.333 0.000 0.205
Ta 0.333 0.000 0.358
Ta 0.333 0.000 0.436
Ta 0.333 0.000 0.514
Ta 0.333 0.000 0.743
Ta 0.333 0.000 0.819
Ta 0.333 0.000 0.974
Ta 0.334 0.000 0.282
Ta 0.334 0.000 0.897
Ta 0.336 0.000 0.591
B 0.333 0.000 0.397
B 0.334 0.000 0.720
B 0.338 0.000 0.631
B 0.491 0.500 0.664
C 0.000 0.000 0.038
C 0.000 0.000 0.115
C 0.000 0.000 0.192
C 0.000 0.000 0.269
C 0.000 0.000 0.346
C 0.000 0.000 0.424
C 0.000 0.000 0.501
C 0.000 0.000 0.806
C 0.000 0.000 0.884
C 0.000 0.000 0.961
C 0.001 0.000 0.578
C 0.001 0.000 0.722
C 0.153 0.500 0.664
C 0.166 0.500 0.449
C 0.166 0.500 0.754
C 0.167 0.500 0.064
C 0.167 0.500 0.141
C 0.167 0.500 0.218
C 0.167 0.500 0.295
C 0.167 0.500 0.371
C 0.167 0.500 0.526
C 0.167 0.500 0.832
C 0.167 0.500 0.910
C 0.167 0.500 0.987
C 0.169 0.500 0.604
C 0.333 0.000 0.013
C 0.333 0.000 0.090
C 0.333 0.000 0.167
C 0.333 0.000 0.320
C 0.333 0.000 0.475
C 0.333 0.000 0.552
C 0.333 0.000 0.781
C 0.333 0.000 0.858
C 0.333 0.000 0.936
C 0.334 0.000 0.243

Results
energy of formation = -36.26 eV per formula unit
total moment = 0.0 μB/cell

---

Entry 11:
First-principles (GGA-PBE) data for Er2B6Ru after structural relaxation, as listed in Materials Project.

a b c (Å): 9.100 11.466 3.641
angles (deg): 90.00 90.00 90.00
Space group Pbam (No. 55)
Unique sites:
Er 0.055 0.128 0.000
Er 0.178 0.414 0.000
B 0.016 0.287 0.500
B 0.055 0.567 0.500
B 0.109 0.970 0.500
B 0.132 0.815 0.500
B 0.208 0.234 0.500
B 0.249 0.580 0.500
Ru 0.139 0.679 0.000

Results
energy of formation = -6.36 eV per formula unit